Here is ScSi3Ni after structural relaxation from Materials Project. Energies are from meta-GGA r2SCAN.

VASP energy   -211.397 eV per cell
ρ   4.1 g/cm3
Energy of formation from the pure elements   -3.15 eV per formula unit

The structure in CIF format:
```
data_ScSi3Ni
_space_group_name_H-M_alt 'C m m m'
_space_group_IT_number 65
_space_group_name_Hall '-C 2 2'
_cell_length_a 3.831
_cell_length_b 20.611
_cell_length_c 3.826
_cell_angle_alpha 90.00
_cell_angle_beta 90.00
_cell_angle_gamma 90.00
loop_
_atom_site_label
_atom_site_fract_x
_atom_site_fract_y
_atom_site_fract_z
Sc1 0.000 0.169 0.000
Si1 0.000 0.057 0.500
Si2 0.000 0.282 0.500
Si3 0.000 0.443 0.000
Ni1 0.000 0.388 0.500
```

---

Here is Sc3Si4Ni2 after structural relaxation from Materials Project. Energies are from meta-GGA r2SCAN.

VASP energy   -403.738 eV per cell
ρ   4.4 g/cm3
Energy of formation from the pure elements   -7.68 eV per formula unit

The structure in CIF format:
```
data_Sc3Si4Ni2
_space_group_name_H-M_alt 'P n m a'
_space_group_IT_number 62
_space_group_name_Hall '-P 2ac 2n'
_cell_length_a 11.660
_cell_length_b 3.971
_cell_length_c 11.910
_cell_angle_alpha 90.00
_cell_angle_beta 90.00
_cell_angle_gamma 90.00
loop_
_atom_site_label
_atom_site_fract_x
_atom_site_fract_y
_atom_site_fract_z
Sc1 0.019 0.250 0.186
Sc2 0.195 0.750 0.580
Sc3 0.247 0.250 0.350
Si1 0.057 0.250 0.467
Si2 0.107 0.250 0.937
Si3 0.123 0.250 0.734
Si4 0.173 0.750 0.202
Ni1 0.049 0.750 0.366
Ni2 0.090 0.750 0.027
```

---

Here is ScNiSn after structural relaxation from Materials Project. Energies are from meta-GGA r2SCAN.

VASP energy   -150.127 eV per cell
ρ   7.0 g/cm3
Energy of formation from the pure elements   -1.92 eV per formula unit

The structure in CIF format:
```
data_ScNiSn
_space_group_name_H-M_alt 'P -6 2 m'
_space_group_IT_number 189
_space_group_name_Hall 'P -6 -2'
_cell_length_a 7.1363
_cell_length_b 7.1363
_cell_length_c 3.5973
_cell_angle_alpha 90.00
_cell_angle_beta 90.00
_cell_angle_gamma 120.00
loop_
_atom_site_label
_atom_site_fract_x
_atom_site_fract_y
_atom_site_fract_z
Sc1 0.0000 0.3987 0.0000
Ni1 0.0000 0.0000 0.0000
Ni2 0.3333 0.6667 0.5000
Sn1 0.0000 0.7321 0.5000
```

---

Here is Sc2TcNi after structural relaxation from Materials Project. Energies are from meta-GGA r2SCAN.

VASP energy   -247.662 eV per cell
ρ   6.3 g/cm3
Energy of formation from the pure elements   -1.17 eV per formula unit

The structure in CIF format:
```
data_Sc2TcNi
_space_group_name_H-M_alt 'F m -3 m'
_space_group_IT_number 225
_space_group_name_Hall '-F 4 2 3'
_cell_length_a 6.373
_cell_length_b 6.373
_cell_length_c 6.373
_cell_angle_alpha 90.00
_cell_angle_beta 90.00
_cell_angle_gamma 90.00
loop_
_atom_site_label
_atom_site_fract_x
_atom_site_fract_y
_atom_site_fract_z
Sc1 0.250 0.250 0.250
Tc1 0.000 0.000 0.000
Ni1 0.000 0.000 0.500
```